# 1
A relaxed YSi2Ir2 crystal. Source: Materials Project, functional GGA-PBE.

Computed properties:
As for the space group: P4/nmm (129). As for the volume: 16.89 Å³/atom. The total energy comes out at -8.065 eV per atom. The calculation puts the density at 10.4 g/cm³. As for the energy of formation: -5.3 eV per formula unit.

Unit cell a=4.140 b=4.140 c=9.856 alpha=90.00 beta=90.00 gamma=90.00
Sites, in units of the cell vectors:
Ir1 0.500 0.500 0.000
Y1 0.500 0.000 0.255
Si1 0.000 0.000 0.500
Si2 0.500 0.500 0.500
Si3 0.000 0.500 0.131
Si4 0.500 0.000 0.869
Ir2 0.500 0.000 0.628
Ir3 0.000 0.000 0.000
Ir4 0.000 0.500 0.372
Y2 0.000 0.500 0.745

# 2
A relaxed YSeF crystal. Source: Materials Project, functional GGA-PBE.

Computed properties:
As for the space group: Pnma (62). As for the volume: 21.44 Å³/atom. The total energy comes out at -6.722 eV per atom. The calculation puts the density at 4.8 g/cm³. As for the energy of formation: -8.8 eV per formula unit.

Unit cell a=5.739 b=5.808 c=7.720 alpha=90.00 beta=90.00 gamma=90.00
Sites, in units of the cell vectors:
Se1 0.250 0.119 0.170
F1 0.750 0.133 0.464
Y1 0.750 0.128 0.182
F2 0.250 0.633 0.036
F3 0.750 0.367 0.964
Y2 0.750 0.372 0.682
Se2 0.750 0.619 0.330
Y3 0.250 0.872 0.818
Y4 0.250 0.628 0.318
F4 0.250 0.867 0.536
Se3 0.750 0.881 0.830
Se4 0.250 0.381 0.670

# 3
A relaxed K6As8O19 crystal. Source: Materials Project, functional GGA-PBE.

Computed properties:
As for the space group: P1 (1). As for the volume: 21.34 Å³/atom. The total energy comes out at -5.420 eV per atom. The calculation puts the density at 2.7 g/cm³. As for the energy of formation: -44.0 eV per formula unit.

Unit cell a=5.397 b=11.128 c=12.944 alpha=103.59 beta=101.84 gamma=104.01
Sites, in units of the cell vectors:
O1 0.416 0.129 0.711
K1 0.668 0.176 0.146
O2 0.972 0.785 0.648
As1 0.878 0.527 0.225
O3 0.315 0.092 0.919
O4 0.761 0.418 0.096
K2 0.213 0.022 0.396
O5 0.173 0.635 0.198
O6 0.225 0.269 0.179
K3 0.837 0.022 0.655
O7 0.239 0.583 0.899
O8 0.072 0.063 0.914
K4 0.343 0.818 0.857
O9 0.661 0.634 0.197
As2 0.865 0.273 0.455
As3 0.498 0.286 0.707
As4 0.684 0.681 0.677
As5 0.121 0.469 0.772
O10 0.542 0.227 0.347
O11 0.816 0.137 0.498
As6 0.135 0.716 0.544
O12 0.835 0.361 0.802
As7 0.500 0.702 0.293
As8 0.329 0.332 0.321
O13 0.339 0.366 0.803
K5 0.782 0.599 0.966
O14 0.149 0.821 0.467
O15 0.041 0.226 0.350
O16 0.553 0.876 0.259
K6 0.206 0.385 0.019
O17 0.785 0.742 0.819
O18 0.567 0.874 0.158
O19 0.468 0.784 0.648

# 4
A relaxed NaZn13 crystal. Source: Materials Project, functional GGA-PBE.

Computed properties:
As for the space group: Fm-3c (226). As for the volume: 16.60 Å³/atom. The total energy comes out at -1.318 eV per atom. The calculation puts the density at 6.2 g/cm³. As for the energy of formation: -0.8 eV per formula unit.

Unit cell a=8.694 b=8.694 c=8.694 alpha=60.00 beta=60.00 gamma=60.00
Sites, in units of the cell vectors:
Zn1 0.061 0.700 0.300
Zn2 0.439 0.200 0.800
Na1 0.250 0.250 0.250
Zn3 0.939 0.061 0.300
Zn4 0.200 0.561 0.800
Zn5 0.439 0.800 0.561
Zn6 0.939 0.700 0.061
Na2 0.750 0.750 0.750
Zn7 0.061 0.300 0.939
Zn8 0.300 0.061 0.700
Zn9 0.200 0.800 0.439
Zn10 0.700 0.300 0.061
Zn11 0.200 0.439 0.561
Zn12 0.800 0.561 0.439
Zn13 0.000 0.000 0.000
Zn14 0.439 0.561 0.200
Zn15 0.061 0.939 0.700
Zn16 0.800 0.200 0.561
Zn17 0.700 0.939 0.300
Zn18 0.561 0.200 0.439
Zn19 0.300 0.939 0.061
Zn20 0.561 0.800 0.200
Zn21 0.300 0.700 0.939
Zn22 0.700 0.061 0.939
Zn23 0.500 0.500 0.500
Zn24 0.939 0.300 0.700
Zn25 0.800 0.439 0.200
Zn26 0.561 0.439 0.800

# 5
A relaxed MgBiSbO5 crystal. Source: Materials Project, functional GGA-PBE.

Computed properties:
As for the space group: P2_1/c (14). As for the volume: 15.77 Å³/atom. The total energy comes out at -5.917 eV per atom. The calculation puts the density at 5.7 g/cm³. As for the energy of formation: -16.4 eV per formula unit.

Unit cell a=5.463 b=8.016 c=12.054 alpha=90.00 beta=90.00 gamma=107.06
Sites, in units of the cell vectors:
Mg1 0.878 0.326 0.421
Sb1 0.787 0.968 0.644
Sb2 0.713 0.532 0.144
O1 0.026 0.847 0.683
Sb3 0.213 0.032 0.356
Mg2 0.378 0.826 0.079
O2 0.487 0.180 0.440
O3 0.013 0.320 0.940
O4 0.987 0.680 0.060
O5 0.258 0.015 0.976
O6 0.758 0.515 0.524
O7 0.242 0.485 0.476
Sb4 0.287 0.468 0.856
Mg3 0.122 0.674 0.579
O8 0.513 0.820 0.560
Bi1 0.393 0.337 0.597
O9 0.526 0.347 0.817
O10 0.445 0.678 0.935
O11 0.974 0.153 0.317
Mg4 0.622 0.174 0.921
O12 0.204 0.518 0.707
O13 0.945 0.178 0.565
Bi2 0.107 0.163 0.097
Bi3 0.607 0.663 0.403
O14 0.555 0.322 0.065
Bi4 0.893 0.837 0.903
O15 0.704 0.018 0.793
O16 0.055 0.822 0.435
O17 0.796 0.482 0.293
O18 0.296 0.982 0.207
O19 0.742 0.985 0.024
O20 0.474 0.653 0.183

# 6
A relaxed ZnH2SeO5 crystal. Source: Materials Project, functional GGA-PBE.

Computed properties:
As for the space group: C2/c (15). As for the volume: 11.29 Å³/atom. The total energy comes out at -5.000 eV per atom. The calculation puts the density at 3.7 g/cm³. As for the energy of formation: -12.2 eV per formula unit.

Unit cell a=5.420 b=5.420 c=7.760 alpha=73.64 beta=73.64 gamma=98.60
Sites, in units of the cell vectors:
O1 0.123 0.877 0.250
Zn1 0.000 0.500 0.500
O2 0.690 0.283 0.079
O3 0.747 0.687 0.655
O4 0.283 0.690 0.579
H1 0.865 0.968 0.704
O5 0.877 0.123 0.750
H2 0.968 0.865 0.204
H3 0.032 0.135 0.796
Se1 0.587 0.413 0.250
H4 0.135 0.032 0.296
O6 0.310 0.717 0.921
O7 0.313 0.253 0.845
O8 0.253 0.313 0.345
Se2 0.413 0.587 0.750
Zn2 0.500 0.000 0.000
O9 0.687 0.747 0.155
O10 0.717 0.310 0.421

# 7
A relaxed BiOs3C9O9 crystal. Source: Materials Project, functional GGA-PBE.

Computed properties:
As for the space group: P-1 (2). As for the volume: 20.76 Å³/atom. The total energy comes out at -8.016 eV per atom. The calculation puts the density at 3.8 g/cm³. As for the energy of formation: -17.4 eV per formula unit.

Unit cell a=8.612 b=9.675 c=13.277 alpha=90.16 beta=69.63 gamma=63.72
Sites, in units of the cell vectors:
C1 0.240 0.896 0.129
O1 0.739 0.806 0.703
O2 0.248 0.933 0.784
Bi1 0.494 0.218 0.587
C2 0.487 0.457 0.159
C3 0.110 0.873 0.344
O3 0.261 0.194 0.297
O4 0.887 0.709 0.940
C4 0.513 0.543 0.841
O5 0.185 0.685 0.676
C5 0.091 0.352 0.780
C6 0.760 0.104 0.871
Bi2 0.506 0.782 0.413
C7 0.199 0.262 0.966
O6 0.969 0.893 0.413
Os1 0.482 0.568 0.282
O7 0.216 0.482 0.455
Os2 0.338 0.857 0.239
C8 0.909 0.648 0.220
O8 0.784 0.518 0.545
O9 0.113 0.291 0.060
O10 0.752 0.067 0.216
C9 0.890 0.127 0.656
Os3 0.306 0.216 0.808
C10 0.677 0.490 0.612
O11 0.180 0.920 0.060
C11 0.295 0.067 0.268
C12 0.801 0.738 0.034
O12 0.820 0.080 0.940
O13 0.492 0.376 0.092
Os4 0.662 0.143 0.761
O14 0.031 0.107 0.587
O15 0.961 0.436 0.762
Os5 0.694 0.784 0.192
C13 0.311 0.589 0.693
C14 0.323 0.510 0.388
O16 0.508 0.624 0.908
C15 0.705 0.933 0.732
C16 0.261 0.047 0.795
C17 0.689 0.411 0.307
O17 0.039 0.564 0.238
C18 0.739 0.953 0.205
O18 0.815 0.315 0.324
Os6 0.518 0.432 0.718

# 8
A relaxed PaTlO3 crystal. Source: Materials Project, functional GGA-PBE.

Computed properties:
As for the space group: Pm-3m (221). As for the volume: 17.10 Å³/atom. The total energy comes out at -8.107 eV per atom. The calculation puts the density at 9.4 g/cm³. As for the energy of formation: -15.9 eV per formula unit.

Unit cell a=4.406 b=4.406 c=4.406 alpha=90.00 beta=90.00 gamma=90.00
Sites, in units of the cell vectors:
O1 0.500 0.000 0.500
Tl1 0.000 0.000 0.000
O2 0.000 0.500 0.500
Pa1 0.500 0.500 0.500
O3 0.500 0.500 0.000

# 9
A relaxed Sn2SeS2 crystal. Source: Materials Project, functional GGA-PBE.

Computed properties:
As for the space group: Pnma (62). As for the volume: 25.94 Å³/atom. The total energy comes out at -4.338 eV per atom. The calculation puts the density at 4.9 g/cm³. As for the energy of formation: -2.9 eV per formula unit.

Unit cell a=3.892 b=9.178 c=14.521 alpha=90.00 beta=90.00 gamma=90.00
Sites, in units of the cell vectors:
S1 0.750 0.982 0.896
S2 0.250 0.288 0.790
Sn1 0.250 0.022 0.329
S3 0.750 0.482 0.604
Sn2 0.750 0.478 0.829
S4 0.750 0.712 0.210
Sn3 0.250 0.660 0.554
S5 0.250 0.788 0.710
Se1 0.750 0.842 0.493
S6 0.250 0.018 0.104
Sn4 0.250 0.160 0.946
Se2 0.250 0.158 0.507
S7 0.250 0.518 0.396
Sn5 0.250 0.522 0.171
Sn6 0.750 0.978 0.671
Se3 0.250 0.658 0.993
Sn7 0.750 0.340 0.446
Se4 0.750 0.342 0.007
S8 0.750 0.212 0.290
Sn8 0.750 0.840 0.054

# 10
A relaxed Sr2HgPb crystal. Source: Materials Project, functional GGA-PBE.

Computed properties:
As for the space group: Fm-3m (225). As for the volume: 34.12 Å³/atom. The total energy comes out at -2.449 eV per atom. The calculation puts the density at 7.1 g/cm³. As for the energy of formation: -2.4 eV per formula unit.

Unit cell a=5.779 b=5.779 c=5.779 alpha=60.00 beta=60.00 gamma=60.00
Sites, in units of the cell vectors:
Sr1 0.750 0.750 0.750
Pb1 0.000 0.000 0.000
Hg1 0.500 0.500 0.500
Sr2 0.250 0.250 0.250

# 11
A relaxed AsF3 crystal. Source: Materials Project, functional GGA-PBE.

Computed properties:
As for the space group: Pna2_1 (33). As for the volume: 17.88 Å³/atom. The maximum piezoelectric response is 0.42 C/m². The total energy comes out at -4.729 eV per atom. The calculation puts the density at 3.1 g/cm³. As for the energy of formation: -9.9 eV per formula unit.

Unit cell a=5.380 b=7.118 c=7.469 alpha=90.00 beta=90.00 gamma=90.00
Sites, in units of the cell vectors:
F1 0.807 0.679 0.147
As1 0.457 0.216 0.752
F2 0.123 0.306 0.047
F3 0.377 0.806 0.047
As2 0.543 0.784 0.252
F4 0.307 0.821 0.647
F5 0.693 0.179 0.147
F6 0.193 0.321 0.647
F7 0.410 0.565 0.309
F8 0.623 0.194 0.547
As3 0.957 0.284 0.252
As4 0.043 0.716 0.752
F9 0.590 0.435 0.809
F10 0.877 0.694 0.547
F11 0.090 0.065 0.309
F12 0.910 0.935 0.809

# 12
A relaxed GaSnO3 crystal. Source: Materials Project, functional GGA-PBE.

Computed properties:
As for the space group: Pm-3m (221). As for the volume: 11.61 Å³/atom. The total energy comes out at -5.482 eV per atom. The calculation puts the density at 6.8 g/cm³. As for the energy of formation: -7.6 eV per formula unit.

Unit cell a=3.872 b=3.872 c=3.872 alpha=90.00 beta=90.00 gamma=90.00
Sites, in units of the cell vectors:
O1 0.500 0.000 0.500
O2 0.500 0.500 0.000
O3 0.000 0.500 0.500
Sn1 0.000 0.000 0.000
Ga1 0.500 0.500 0.500

# 13
A relaxed Nb4FeP crystal. Source: Materials Project, functional GGA-PBE.

Computed properties:
As for the space group: P4/mcc (124). As for the volume: 15.96 Å³/atom. The total energy comes out at -9.424 eV per atom. The calculation puts the density at 7.9 g/cm³. As for the energy of formation: -2.3 eV per formula unit.

Unit cell a=5.121 b=6.116 c=6.116 alpha=90.00 beta=90.00 gamma=90.00
Sites, in units of the cell vectors:
Nb1 0.000 0.160 0.666
P1 0.250 0.500 0.500
Nb2 0.000 0.840 0.334
Nb3 0.000 0.666 0.840
Nb4 0.500 0.160 0.334
Nb5 0.500 0.666 0.160
Fe1 0.750 0.000 0.000
Nb6 0.500 0.840 0.666
P2 0.750 0.500 0.500
Nb7 0.000 0.334 0.160
Nb8 0.500 0.334 0.840
Fe2 0.250 0.000 0.000

# 14
A relaxed MgAl2Si6O16 crystal. Source: Materials Project, functional GGA-PBE.

Computed properties:
As for the space group: P1 (1). As for the volume: 15.09 Å³/atom. The total energy comes out at -7.597 eV per atom. The calculation puts the density at 2.2 g/cm³. As for the energy of formation: -80.1 eV per formula unit.

Unit cell a=5.062 b=8.440 c=8.834 alpha=88.97 beta=90.34 gamma=89.36
Sites, in units of the cell vectors:
O1 0.521 0.746 0.492
O2 0.076 0.236 0.669
O3 0.854 0.807 0.264
Si1 0.097 0.178 0.160
O4 0.025 0.732 0.990
Si2 0.918 0.804 0.828
O5 0.216 0.993 0.121
O6 0.670 0.698 0.775
Si3 0.419 0.687 0.659
O7 0.942 0.232 0.004
Si4 0.109 0.806 0.152
O8 0.887 0.180 0.293
O9 0.168 0.800 0.710
Si5 0.619 0.687 0.325
O10 0.536 0.250 0.813
Si6 0.365 0.312 0.661
O11 0.362 0.708 0.213
O12 0.324 0.505 0.663
O13 0.387 0.261 0.181
Al1 0.622 0.309 0.334
O14 0.511 0.257 0.511
O15 0.803 0.983 0.856
O16 0.718 0.506 0.322
Mg1 0.557 0.123 0.020
Al2 0.872 0.185 0.809

# 15
A relaxed NdEr3 crystal. Source: Materials Project, functional GGA-PBE.

Computed properties:
As for the space group: P6_3/mmc (194). As for the volume: 32.28 Å³/atom. The total energy comes out at -4.602 eV per atom. The calculation puts the density at 8.3 g/cm³. As for the energy of formation: 0.1 eV per formula unit.

Unit cell a=7.231 b=7.231 c=5.703 alpha=90.00 beta=90.00 gamma=120.00
Sites, in units of the cell vectors:
Nd1 0.333 0.667 0.750
Er1 0.164 0.836 0.250
Nd2 0.667 0.333 0.250
Er2 0.836 0.164 0.750
Er3 0.164 0.329 0.250
Er4 0.836 0.671 0.750
Er5 0.671 0.836 0.250
Er6 0.329 0.164 0.750

# 16
A relaxed HgIBr crystal. Source: Materials Project, functional GGA-PBE.

Computed properties:
As for the space group: Cmc2_1 (36). As for the volume: 44.21 Å³/atom. The maximum piezoelectric response is 0.17 C/m². The total energy comes out at -1.539 eV per atom. The calculation puts the density at 5.1 g/cm³. As for the energy of formation: -1.7 eV per formula unit.

Unit cell a=4.539 b=4.539 c=13.656 alpha=90.00 beta=90.00 gamma=109.45
Sites, in units of the cell vectors:
Br1 0.423 0.577 0.880
I1 0.905 0.095 0.130
Hg1 0.174 0.826 0.003
Br2 0.577 0.423 0.380
I2 0.095 0.905 0.630
Hg2 0.826 0.174 0.503